--- i ---
The following is a DFT calculation (PBE) of crystalline Dy2Cu2O5 at its relaxed geometry.

a b c (Å): 6.2683 7.1979 11.2129
angles (deg): 90.00 90.00 90.00
Sites, in units of the cell vectors:
O (0.9025, 0.8871, 0.5880)
O (0.9309, 0.3562, 0.5855)
O (0.0975, 0.1129, 0.0880)
Dy (0.7501, 0.1194, 0.4773)
O (0.5691, 0.8562, 0.0855)
Cu (0.9134, 0.3722, 0.7500)
Cu (0.0722, 0.1489, 0.2500)
Dy (0.2499, 0.8806, 0.9773)
O (0.9025, 0.8871, 0.9120)
O (0.4025, 0.6129, 0.5880)
O (0.2463, 0.8809, 0.7500)
O (0.0691, 0.6438, 0.0855)
O (0.5975, 0.3871, 0.4120)
Cu (0.5722, 0.3511, 0.2500)
O (0.4309, 0.1438, 0.5855)
O (0.4025, 0.6129, 0.9120)
O (0.7463, 0.6191, 0.7500)
Cu (0.4134, 0.1278, 0.7500)
Dy (0.7499, 0.6194, 0.9773)
O (0.5691, 0.8562, 0.4145)
Dy (0.2499, 0.8806, 0.5227)
Cu (0.9278, 0.8511, 0.7500)
Dy (0.2501, 0.3806, 0.0227)
O (0.5975, 0.3871, 0.0880)
O (0.4309, 0.1438, 0.9145)
Dy (0.7499, 0.6194, 0.5227)
O (0.0975, 0.1129, 0.4120)
Cu (0.4278, 0.6489, 0.7500)
O (0.9309, 0.3562, 0.9145)
Dy (0.2501, 0.3806, 0.4773)
Cu (0.0866, 0.6278, 0.2500)
Dy (0.7501, 0.1194, 0.0227)
Cu (0.5866, 0.8722, 0.2500)
O (0.7537, 0.1191, 0.2500)
O (0.0691, 0.6438, 0.4145)
O (0.2537, 0.3809, 0.2500)

## Properties
V (Å³ per cell): 505.91

--- ii ---
The following is a DFT calculation (PBE) of crystalline Dy2Cu2O5 at its relaxed geometry.

a b c (Å): 3.5333 10.9005 12.5905
angles (deg): 90.00 90.00 90.00
Sites, in units of the cell vectors:
O (0.8397, 0.3749, 0.1648)
O (0.2237, 0.4227, 0.9734)
Dy (0.2173, 0.2089, 0.5011)
Cu (0.6542, 0.2619, 0.7165)
O (0.7861, 0.8242, 0.5660)
O (0.7237, 0.0773, 0.4734)
O (0.6603, 0.8749, 0.1648)
O (0.7764, 0.4280, 0.7622)
O (0.7236, 0.9280, 0.7622)
O (0.7763, 0.5773, 0.4734)
O (0.7759, 0.6739, 0.8552)
O (0.2139, 0.1758, 0.0660)
O (0.7139, 0.3242, 0.5660)
Cu (0.1542, 0.2381, 0.2165)
O (0.2763, 0.9227, 0.9734)
Dy (0.7173, 0.2911, 0.0011)
Dy (0.2219, 0.0420, 0.8289)
Cu (0.1607, 0.5100, 0.1125)
Cu (0.8458, 0.7619, 0.7165)
Dy (0.7219, 0.4580, 0.3289)
O (0.1603, 0.6251, 0.6648)
O (0.7241, 0.1739, 0.8552)
Cu (0.3393, 0.0100, 0.1125)
Cu (0.6607, 0.9900, 0.6125)
Dy (0.7781, 0.9580, 0.3289)
Dy (0.2827, 0.7089, 0.5011)
Dy (0.2781, 0.5420, 0.8289)
Cu (0.3458, 0.7381, 0.2165)
Cu (0.8393, 0.4900, 0.6125)
O (0.2759, 0.8261, 0.3552)
O (0.2764, 0.0720, 0.2622)
O (0.2241, 0.3261, 0.3552)
O (0.3397, 0.1251, 0.6648)
O (0.2861, 0.6758, 0.0660)
O (0.2236, 0.5720, 0.2622)
Dy (0.7827, 0.7911, 0.0011)

## Properties
V (Å³ per cell): 484.92

How far above the most stable structure does each one sit? In meV/atom: i 0; ii 9.